# 1
Entry from the Materials Project: a relaxed CeH14Cl3O7 crystal (GGA-PBE).

a b c (Å): 8.0165 8.2385 9.5415
angles (deg): 69.92 74.19 82.37
With the nearest neighbours (Å) after each atom.
Fractional positions:
Ce 0.0000 0.0000 0.0000  7 O 2.55-2.63
Ce 0.4296 0.3729 0.6507  7 O 2.54-2.64
H 0.0110 0.6019 0.0381  1 O 0.99
H 0.0813 0.2120 0.1983  1 O 1.00
H 0.0903 0.1423 0.6376  1 O 1.00
H 0.1347 0.6727 0.2221  1 O 0.98
H 0.1366 0.6570 0.5455  1 O 0.99
H 0.2023 0.3390 0.4250  1 O 0.99
H 0.2159 0.0495 0.2276  1 O 1.00
H 0.3092 0.7212 0.0945  1 O 0.99
H 0.3142 0.7312 0.4358  1 O 1.00
H 0.3259 0.2360 0.0122  1 O 1.00
H 0.3288 0.1701 0.4499  1 O 1.01
H 0.4282 0.7675 0.6429  1 O 0.98
H 0.4695 0.3712 0.9761  1 O 0.99
H 0.4832 0.6593 0.7967  1 O 0.99
H 0.5682 0.5449 0.2804  1 O 0.99
H 0.6029 0.0196 0.9780  1 O 0.98
H 0.6580 0.1211 0.1966  1 O 0.99
H 0.6704 0.8281 0.9814  1 O 0.99
H 0.6838 0.0417 0.5777  1 O 0.99
H 0.7201 0.3073 0.0849  1 O 0.99
H 0.7318 0.4868 0.3506  1 O 1.00
H 0.7483 0.7566 0.3050  1 O 0.98
H 0.7639 0.2134 0.4571  1 O 0.99
H 0.7807 0.5056 0.6714  1 O 0.99
H 0.8232 0.3071 0.6811  1 O 0.99
H 0.8670 0.8318 0.3740  1 O 1.00
H 0.9522 0.9997 0.6762  1 O 1.00
H 0.9868 0.6795 0.8685  1 O 0.98
Cl 0.0682 0.3696 0.8307  5 H 2.67-2.99, 2 Ce 2.94-2.96
Cl 0.3569 0.0082 0.8129  7 H 2.87-3.04, 2 Ce 2.92-2.93, 3 O 3.09-3.11
Cl 0.4182 0.9800 0.3523  4 H 2.04-2.26
Cl 0.5545 0.5682 0.0414  6 H 2.17-2.40
Cl 0.8824 0.7975 0.6065  4 H 2.17-2.38
Cl 0.9930 0.4076 0.2924  3 H 2.06-2.27
O 0.0034 0.7110 0.9540  2 H 0.98-0.99
O 0.1442 0.1197 0.1551  2 H 1.00
O 0.1989 0.7712 0.1438  2 H 0.98-0.99
O 0.2556 0.6203 0.4978  2 H 0.99-1.00
O 0.2704 0.2617 0.4968  2 H 0.99-1.01
O 0.4358 0.2851 0.9381  2 H 0.99-1.00
O 0.4473 0.6492 0.7090  2 H 0.98-0.99
O 0.6103 0.5367 0.3716  2 H 0.99-1.00
O 0.6566 0.1664 0.5330  2 H 0.99
O 0.7043 0.9384 0.9829  2 H 0.98-0.99
O 0.7338 0.4026 0.6681  2 H 0.99
O 0.7595 0.1850 0.1222  2 H 0.99
O 0.8499 0.8268 0.2761  2 H 0.98-1.00
O 0.9812 0.0909 0.7116  2 H 1.00

Calculated values
E = -4.97 eV/atom
energy of formation = -1.4224 eV per atom
relative energy among the computed polymorphs = 0.06 eV per formula unit

=====

# 2
Entry from the Materials Project: a relaxed SmPdPb crystal (GGA-PBE).

a b c (Å): 3.8231 8.2335 8.2335
angles (deg): 120.06 90.00 90.00
With the nearest neighbours (Å) after each atom.
Fractional positions:
Sm 0.0000 0.0000 0.0000  6 Pd 3.33-3.35, 6 Pb 3.34-3.35
Sm 0.0000 0.3324 0.6639  6 Pd 3.33-3.35, 6 Pb 3.34-3.35
Sm 0.0000 0.6639 0.3324  6 Pd 3.33-3.35, 6 Pb 3.34-3.35
Pd 0.5000 0.3318 0.3318  3 Pb 2.75
Pd 0.5000 0.6653 0.9986  3 Pb 2.74
Pd 0.5000 0.9986 0.6653  3 Pb 2.74
Pb 0.5000 0.3321 0.9982  3 Pd 2.74-2.75
Pb 0.5000 0.6655 0.6655  3 Pd 2.74-2.75
Pb 0.5000 0.9982 0.3321  3 Pd 2.74-2.75

Calculated values
E = -5.20 eV/atom
energy of formation = -0.6648 eV per atom

=====

# 3
Entry from the Materials Project: a relaxed Np2Se3 crystal (GGA-PBE).

a b c (Å): 14.3493 14.3493 14.3493
angles (deg): 144.86 144.86 50.54
With the nearest neighbours (Å) after each atom.
Fractional positions:
Np 0.0421 0.1597 0.6207  8 Se 2.90-3.12
Np 0.1674 0.1674 0.0000  8 Se 2.91-3.07
Np 0.1713 0.7890 0.8793  8 Se 2.90-3.12
Np 0.2110 0.0903 0.3824  8 Se 2.90-3.12
Np 0.2572 0.6250 0.1322  8 Se 2.93-3.12
Np 0.3750 0.5072 0.6322  8 Se 2.93-3.12
Np 0.4928 0.1250 0.8678  8 Se 2.93-3.12
Np 0.5390 0.4213 0.3793  8 Se 2.90-3.12
Np 0.5787 0.9579 0.1176  8 Se 2.90-3.12
Np 0.5826 0.0826 0.5000  8 Se 2.91-3.07
Np 0.7079 0.8287 0.6176  8 Se 2.90-3.12
Np 0.8326 0.8326 0.0000  8 Se 2.91-3.07
Np 0.8403 0.4610 0.8824  8 Se 2.90-3.12
Np 0.8750 0.7428 0.3678  8 Se 2.93-3.12
Np 0.9097 0.2921 0.1207  8 Se 2.90-3.12
Np 0.9174 0.4174 0.5000  8 Se 2.91-3.07
Se 0.0084 0.7591 0.9021  6 Np 2.92-3.12
Se 0.0718 0.4704 0.2460  5 Np 2.90-3.06, 1 Se 3.24
Se 0.1743 0.9282 0.3986  5 Np 2.90-3.06, 1 Se 3.24
Se 0.1874 0.4384 0.5938  5 Np 2.92-3.07, 1 Se 3.26
Se 0.1884 0.4374 0.0938  5 Np 2.92-3.07, 1 Se 3.26
Se 0.2204 0.3218 0.7460  5 Np 2.90-3.06, 1 Se 3.24
Se 0.2244 0.8257 0.7540  5 Np 2.90-3.06, 1 Se 3.24
Se 0.2409 0.1430 0.2493  6 Np 2.92-3.12
Se 0.3436 0.0946 0.9062  5 Np 2.92-3.07, 1 Se 3.26
Se 0.4064 0.8126 0.2509  5 Np 2.92-3.07, 1 Se 3.26
Se 0.5091 0.2584 0.4021  6 Np 2.92-3.12
Se 0.5256 0.7796 0.1014  5 Np 2.90-3.06, 1 Se 3.24
Se 0.5296 0.7756 0.6014  5 Np 2.90-3.06, 1 Se 3.24
Se 0.5616 0.1554 0.7491  5 Np 2.92-3.07, 1 Se 3.26
Se 0.5626 0.6564 0.7509  5 Np 2.92-3.07, 1 Se 3.26
Se 0.5757 0.4744 0.2540  5 Np 2.90-3.06, 1 Se 3.24
Se 0.6782 0.4243 0.8986  5 Np 2.90-3.06, 1 Se 3.24
Se 0.7416 0.1437 0.2507  6 Np 2.92-3.12
Se 0.8446 0.5936 0.4062  5 Np 2.92-3.07, 1 Se 3.26
Se 0.8563 0.1070 0.5979  6 Np 2.92-3.12
Se 0.8570 0.1063 0.0979  6 Np 2.92-3.12
Se 0.8930 0.4909 0.7493  6 Np 2.92-3.12
Se 0.8937 0.9916 0.7507  6 Np 2.92-3.12
Se 0.9054 0.8116 0.2491  5 Np 2.92-3.07, 1 Se 3.26

Calculated values
E = -8.45 eV/atom
energy of formation = -1.4586 eV per atom

=====

# 4
Entry from the Materials Project: a relaxed Ce2Ge3Rh crystal (GGA-PBE).

a b c (Å): 3.9921 4.3838 7.3392
angles (deg): 90.00 90.00 90.00
With the nearest neighbours (Å) after each atom.
Fractional positions:
Ce 0.0000 0.0000 0.0000  2 Rh 3.09, 10 Ge 3.20-3.23
Ce 0.0000 0.5000 0.4863  8 Ge 3.10-3.22, 4 Rh 3.20
Ge 0.5000 0.0000 0.6562  1 Rh 2.46, 2 Ge 2.52
Ge 0.5000 0.5000 0.1628  2 Rh 2.48, 1 Ge 2.48
Ge 0.5000 0.5000 0.8245  3 Ge 2.48-2.52
Rh 0.5000 0.0000 0.3209  3 Ge 2.46-2.48

Calculated values
E = -6.29 eV/atom
energy of formation = -0.7777 eV per atom
relative energy among the computed polymorphs = 0.00 eV per formula unit